The following is a DFT calculation (PBE) of a relaxed structure of Cs2NaAlF6.

Cell lengths 10.7584, 10.7584, 10.7584 Å; angles 33.92, 33.92, 33.92 degrees
Fractional positions:
F1 0.6911 0.1002 0.1002
F2 0.1002 0.1002 0.6911
F3 0.8998 0.3089 0.8998
F4 0.6753 0.2538 0.6753
F5 0.3247 0.3247 0.7462
F6 0.2538 0.6753 0.6753
F7 0.1002 0.6911 0.1002
F8 0.7462 0.3247 0.3247
F9 0.3247 0.7462 0.3247
F10 0.6753 0.6753 0.2538
F11 0.8998 0.8998 0.3089
F12 0.3089 0.8998 0.8998
Cs1 0.6281 0.6281 0.6281
Cs2 0.3719 0.3719 0.3719
Cs3 0.7805 0.7805 0.7805
Cs4 0.2195 0.2195 0.2195
Na1 0.9021 0.9021 0.9021
Na2 0.0979 0.0979 0.0979
Al1 0.5000 0.5000 0.5000
Al2 0.0000 0.0000 0.0000

Formation energy from the elements: -329.2 kJ per mole of atoms
Final energy: -4.969 eV per atom
Symmetry: No. 166